[1]
Below is an optimized crystal structure of PuPt3, with properties calculated at the GGA-PBE level.

Cell lengths 5.8726, 5.8726, 4.8363 Å; angles 90.00, 90.00, 120.00 degrees
Last column: nearest neighbours and their distance in Å.
Atoms (fractional coordinates):
Pu1 0.3333 0.6667 0.7500  12 Pt 2.94-2.98
Pu2 0.6667 0.3333 0.2500  12 Pt 2.94-2.98
Pt1 0.1614 0.3228 0.2500  8 Pt 2.84-3.03, 4 Pu 2.94-2.98
Pt2 0.6772 0.8386 0.2500  8 Pt 2.84-3.03, 4 Pu 2.94-2.98
Pt3 0.1614 0.8386 0.2500  8 Pt 2.84-3.03, 4 Pu 2.94-2.98
Pt4 0.8386 0.6772 0.7500  8 Pt 2.84-3.03, 4 Pu 2.94-2.98
Pt5 0.3228 0.1614 0.7500  8 Pt 2.84-3.03, 4 Pu 2.94-2.98
Pt6 0.8386 0.1614 0.7500  8 Pt 2.84-3.03, 4 Pu 2.94-2.98

Computed properties:
- ΔH_f (0 K) (eV/atom) = -0.6786
- V (Å³/f.u.) = 72.22

[2]
Below is an optimized crystal structure of PuPt5, with properties calculated at the GGA-PBE level.

Cell lengths 5.3427, 5.3427, 4.4681 Å; angles 90.00, 90.00, 120.00 degrees
Last column: nearest neighbours and their distance in Å.
Atoms (fractional coordinates):
Pu1 0.0000 0.0000 0.0000  6 Pt 3.08
Pt1 0.0000 0.5000 0.5000  8 Pt 2.67-2.71
Pt2 0.3333 0.6667 0.0000  6 Pt 2.71
Pt3 0.6667 0.3333 0.0000  6 Pt 2.71
Pt4 0.5000 0.0000 0.5000  8 Pt 2.67-2.71
Pt5 0.5000 0.5000 0.5000  8 Pt 2.67-2.71

Computed properties:
- ΔH_f (0 K) (eV/atom) = -0.5193
- V (Å³/f.u.) = 110.45

[3]
Below is an optimized crystal structure of PuPt2, with properties calculated at the GGA-PBE level.

Cell lengths 5.4126, 5.4126, 5.4126 Å; angles 60.00, 60.00, 60.00 degrees
Last column: nearest neighbours and their distance in Å.
Atoms (fractional coordinates):
Pu1 0.5000 0.5000 0.5000  12 Pt 3.17, 4 Pu 3.31
Pu2 0.7500 0.7500 0.7500  12 Pt 3.17, 4 Pu 3.31
Pt1 0.1250 0.1250 0.1250  6 Pt 2.71
Pt2 0.6250 0.1250 0.1250  6 Pt 2.71
Pt3 0.1250 0.6250 0.1250  6 Pt 2.71
Pt4 0.1250 0.1250 0.6250  6 Pt 2.71

Computed properties:
- ΔH_f (0 K) (eV/atom) = -0.2395
- V (Å³/f.u.) = 56.06

[4]
Below is an optimized crystal structure of PuPt3, with properties calculated at the GGA-PBE level.

Cell lengths 5.4570, 7.8477, 7.8477 Å; angles 83.06, 69.65, 69.65 degrees
Last column: nearest neighbours and their distance in Å.
Atoms (fractional coordinates):
Pu1 0.6210 0.2525 0.7455  6 Pt 2.64-2.96
Pu2 0.6191 0.7475 0.2545  6 Pt 2.64-2.96
Pu3 0.1264 0.2545 0.2525  6 Pt 2.64-2.96
Pu4 0.6334 0.7455 0.7475  6 Pt 2.64-2.96
Pt1 0.6705 0.1501 0.1009  2 Pu 2.64-2.89, 6 Pt 2.66-2.93
Pt2 0.9215 0.8499 0.8991  2 Pu 2.64-2.89, 6 Pt 2.66-2.93
Pt3 0.1794 0.8991 0.1501  2 Pu 2.64-2.89, 6 Pt 2.66-2.93
Pt4 0.2286 0.1009 0.8499  2 Pu 2.64-2.89, 6 Pt 2.66-2.93
Pt5 0.0696 0.3608 0.6171  6 Pt 2.68-2.86, 2 Pu 2.69-2.96
Pt6 0.0475 0.6392 0.3829  6 Pt 2.68-2.86, 2 Pu 2.69-2.96
Pt7 0.5696 0.3829 0.3608  6 Pt 2.68-2.86, 2 Pu 2.69-2.96
Pt8 0.3133 0.6171 0.6392  6 Pt 2.68-2.86, 2 Pu 2.69-2.96
Pt9 0.8432 0.4590 0.9935  6 Pt 2.80-2.93, 3 Pu 2.88-2.97
Pt10 0.2957 0.5410 0.0065  6 Pt 2.80-2.93, 3 Pu 2.88-2.97
Pt11 0.6978 0.0065 0.4590  6 Pt 2.80-2.93, 3 Pu 2.88-2.97
Pt12 0.1633 0.9935 0.5410  6 Pt 2.80-2.93, 3 Pu 2.88-2.97

Computed properties:
- ΔH_f (0 K) (eV/atom) = -0.5383
- V (Å³/f.u.) = 73.86

[5]
Below is an optimized crystal structure of PuPt5, with properties calculated at the GGA-PBE level.

Cell lengths 5.3357, 5.3357, 5.3357 Å; angles 60.00, 60.00, 60.00 degrees
Last column: nearest neighbours and their distance in Å.
Atoms (fractional coordinates):
Pu1 0.0000 0.0000 0.0000  16 Pt 3.13-3.27
Pt1 0.7500 0.7500 0.7500  12 Pt 3.13, 4 Pu 3.27
Pt2 0.8737 0.3754 0.3754  6 Pt 2.66-2.68
Pt3 0.3754 0.8737 0.3754  6 Pt 2.66-2.68
Pt4 0.3754 0.3754 0.8737  6 Pt 2.66-2.68
Pt5 0.3754 0.3754 0.3754  6 Pt 2.66-2.68

Computed properties:
- ΔH_f (0 K) (eV/atom) = -0.4670
- V (Å³/f.u.) = 107.41

[6]
Below is an optimized crystal structure of PuPt3, with properties calculated at the GGA-PBE level.

Cell lengths 4.1606, 4.1606, 4.1606 Å; angles 90.00, 90.00, 90.00 degrees
Last column: nearest neighbours and their distance in Å.
Atoms (fractional coordinates):
Pu1 0.0000 0.0000 0.0000  12 Pt 2.94
Pt1 0.0000 0.5000 0.5000  8 Pt 2.94, 4 Pu 2.94
Pt2 0.5000 0.5000 0.0000  8 Pt 2.94, 4 Pu 2.94
Pt3 0.5000 0.0000 0.5000  8 Pt 2.94, 4 Pu 2.94

Computed properties:
- ΔH_f (0 K) (eV/atom) = -0.7157
- V (Å³/f.u.) = 72.02

[7]
Below is an optimized crystal structure of PuSi2Pt2, with properties calculated at the GGA-PBE level.

Cell lengths 4.2022, 4.2022, 9.8639 Å; angles 90.00, 90.00, 90.00 degrees
Last column: nearest neighbours and their distance in Å.
Atoms (fractional coordinates):
Pu1 0.0000 0.5000 0.2547  8 Si 3.20, 8 Pt 3.20-3.28
Pu2 0.5000 0.0000 0.7453  8 Si 3.20, 8 Pt 3.20-3.28
Si1 0.5000 0.0000 0.1350  5 Pt 2.38-2.49
Si2 0.0000 0.0000 0.5000  4 Pt 2.43
Si3 0.5000 0.5000 0.5000  4 Pt 2.43
Si4 0.0000 0.5000 0.8650  5 Pt 2.38-2.49
Pt1 0.0000 0.0000 0.0000  4 Si 2.49
Pt2 0.5000 0.5000 0.0000  4 Si 2.49
Pt3 0.5000 0.0000 0.3765  5 Si 2.38-2.43
Pt4 0.0000 0.5000 0.6235  5 Si 2.38-2.43

Computed properties:
- ΔH_f (0 K) (eV/atom) = -0.9030
- V (Å³/f.u.) = 87.09

[8]
Below is an optimized crystal structure of Pu2Si3Pt3, with properties calculated at the GGA-PBE level.

Cell lengths 4.9379, 4.9379, 19.8082 Å; angles 90.00, 90.00, 90.00 degrees
Last column: nearest neighbours and their distance in Å.
Atoms (fractional coordinates):
Pu1 0.5000 0.5000 0.7574  1 Pt 2.52
Pu2 0.5000 0.5000 0.2426  1 Pt 2.52
Si1 0.5000 0.5000 0.3856  1 Pt 2.27
Si2 0.5000 0.5000 0.6144  1 Pt 2.27
Si3 0.5000 0.5000 0.0000  2 Pt 2.28
Pt1 0.5000 0.5000 0.1152  1 Si 2.28, 1 Pu 2.52
Pt2 0.5000 0.5000 0.8848  1 Si 2.28, 1 Pu 2.52
Pt3 0.5000 0.5000 0.5000  2 Si 2.27

Computed properties:
- ΔH_f (0 K) (eV/atom) = 1.6161
- V (Å³/f.u.) = 482.97